No. 1
Compound: Fe3NiP4O16
Source: Materials Project
Functional: PBE with a Hubbard U
Structure: relaxed

a = 4.8704 Å, b = 5.8988 Å, c = 9.9445 Å
α = 90.00°, β = 90.19°, γ = 90.00°
Space group Pm (No. 6)
Asymmetric unit:
Fe1 0.0000 0.0000 0.0000 (multiplicity 1)
Fe2 0.0658 0.5000 0.5467 (multiplicity 1)
Fe3 0.5665 0.0000 0.4988 (multiplicity 1)
Ni1 0.4853 0.5000 0.0507 (multiplicity 1)
P1 0.1176 0.0000 0.6777 (multiplicity 1)
P2 0.4509 0.0000 0.1766 (multiplicity 1)
P3 0.6154 0.5000 0.3664 (multiplicity 1)
P4 0.9514 0.5000 0.8753 (multiplicity 1)
O1 0.1874 0.0000 0.8267 (multiplicity 1)
O2 0.2627 0.2029 0.6020 (multiplicity 2)
O3 0.2662 0.5000 0.8883 (multiplicity 1)
O4 0.3001 0.2009 0.1019 (multiplicity 2)
O5 0.3060 0.5000 0.3904 (multiplicity 1)
O6 0.3811 0.0000 0.3264 (multiplicity 1)
O7 0.6901 0.5000 0.2179 (multiplicity 1)
O8 0.7593 0.0000 0.1556 (multiplicity 1)
O9 0.7622 0.2976 0.4426 (multiplicity 2)
O10 0.8075 0.0000 0.6542 (multiplicity 1)
O11 0.8105 0.2949 0.9466 (multiplicity 2)
O12 0.8899 0.5000 0.7234 (multiplicity 1)

Summary:
uncorrected energy = -164.89 eV per cell
energy of formation = -2.22 eV/atom
theoretical density = 3523 kg/m3



No. 2
Compound: Fe2NiP2O8
Source: Materials Project
Functional: PBE with a Hubbard U
Structure: relaxed

a = 6.1073 Å, b = 4.7717 Å, c = 10.5260 Å
α = 90.00°, β = 90.28°, γ = 90.00°
Space group P2_1/c (No. 14)
Asymmetric unit:
Fe1 0.2369 0.0216 0.2822 (multiplicity 4)
Ni1 0.5000 0.0000 0.0000 (multiplicity 2)
P1 0.2635 0.5744 0.0979 (multiplicity 4)
O1 0.0717 0.6818 0.1801 (multiplicity 4)
O2 0.2576 0.6929 0.9606 (multiplicity 4)
O3 0.2815 0.2474 0.6026 (multiplicity 4)
O4 0.4720 0.7283 0.1585 (multiplicity 4)

Summary:
offset from the most stable computed form = 0 meV/atom
uncorrected energy = -179.44 eV per cell
energy of formation = -2.24 eV/atom
theoretical density = 3901 kg/m3



No. 3
Compound: Fe2NiP3O12
Source: Materials Project
Functional: PBE with a Hubbard U
Structure: relaxed

a = 8.6311 Å, b = 8.6311 Å, c = 20.6295 Å
α = 90.00°, β = 90.00°, γ = 120.00°
Space group R-3c (No. 167, hexagonal axes)
Asymmetric unit:
Fe1 0.0000 0.0000 0.1442 (multiplicity 12)
Ni1 0.0000 0.0000 0.0000 (multiplicity 6)
P1 0.0000 0.2963 0.2500 (multiplicity 18)
O1 0.0085 0.2021 0.3113 (multiplicity 36)
O2 0.0132 0.1798 0.9258 (multiplicity 36)

Summary:
uncorrected energy = -735.75 eV per cell
energy of formation = -2.20 eV/atom
theoretical density = 3408 kg/m3



No. 4
Compound: Fe4Ni3P6O24
Source: Materials Project
Functional: PBE with a Hubbard U
Structure: relaxed

a = 6.3802 Å, b = 8.0047 Å, c = 9.3278 Å
α = 104.49°, β = 108.50°, γ = 101.23°
Space group P-1 (No. 2)
Asymmetric unit:
Fe1 0.0471 0.2241 0.0259 (multiplicity 2)
Fe2 0.3880 0.9521 0.6177 (multiplicity 2)
Ni1 0.0000 0.5000 0.5000 (multiplicity 1)
Ni2 0.2696 0.3018 0.7787 (multiplicity 2)
P1 0.0911 0.0960 0.3337 (multiplicity 2)
P2 0.2335 0.6470 0.2735 (multiplicity 2)
P3 0.3977 0.7252 0.8724 (multiplicity 2)
O1 0.0216 0.6930 0.1674 (multiplicity 2)
O2 0.0641 0.0520 0.1542 (multiplicity 2)
O3 0.1158 0.2883 0.4215 (multiplicity 2)
O4 0.1262 0.0328 0.6628 (multiplicity 2)
O5 0.2108 0.4485 0.2066 (multiplicity 2)
O6 0.2315 0.6941 0.4472 (multiplicity 2)
O7 0.2487 0.7728 0.9669 (multiplicity 2)
O8 0.2751 0.5368 0.7384 (multiplicity 2)
O9 0.3076 0.0365 0.4152 (multiplicity 2)
O10 0.3672 0.2704 0.0024 (multiplicity 2)
O11 0.4522 0.8647 0.7919 (multiplicity 2)
O12 0.4618 0.7640 0.2763 (multiplicity 2)

Summary:
uncorrected energy = -252.41 eV per cell
energy of formation = -2.25 eV/atom
theoretical density = 3856 kg/m3



No. 5
Compound: Fe2NiP2O8
Source: Materials Project
Functional: PBE with a Hubbard U
Structure: relaxed

a = 6.0228 Å, b = 4.8575 Å, c = 10.4089 Å
α = 90.00°, β = 90.68°, γ = 90.00°
Space group P2_1 (No. 4)
Asymmetric unit:
Fe1 0.0004 0.0000 0.2472 (multiplicity 2)
Fe2 0.2629 0.5181 0.4694 (multiplicity 2)
Ni1 0.2633 0.9895 0.9728 (multiplicity 2)
P1 0.2406 0.0694 0.6539 (multiplicity 2)
P2 0.2434 0.4288 0.1469 (multiplicity 2)
O1 0.0300 0.2181 0.5908 (multiplicity 2)
O2 0.0322 0.2785 0.0842 (multiplicity 2)
O3 0.2224 0.7531 0.6476 (multiplicity 2)
O4 0.2271 0.7463 0.1416 (multiplicity 2)
O5 0.2474 0.1793 0.7940 (multiplicity 2)
O6 0.2477 0.3192 0.2870 (multiplicity 2)
O7 0.4327 0.1829 0.5721 (multiplicity 2)
O8 0.4379 0.3123 0.0674 (multiplicity 2)

Summary:
offset from the most stable computed form = 14 meV/atom
uncorrected energy = -179.06 eV per cell
energy of formation = -2.23 eV/atom
theoretical density = 3930 kg/m3



No. 6
Compound: FeNi3P4O16
Source: Materials Project
Functional: PBE with a Hubbard U
Structure: relaxed

a = 4.8181 Å, b = 5.8286 Å, c = 9.9548 Å
α = 90.00°, β = 90.04°, γ = 90.00°
Space group Pm (No. 6)
Asymmetric unit:
Fe1 0.0000 0.0000 0.0000 (multiplicity 1)
Ni1 0.4183 0.0000 0.5005 (multiplicity 1)
Ni2 0.5072 0.5000 0.9541 (multiplicity 1)
Ni3 0.9200 0.5000 0.4547 (multiplicity 1)
P1 0.0501 0.5000 0.1328 (multiplicity 1)
P2 0.3711 0.5000 0.6320 (multiplicity 1)
P3 0.5552 0.0000 0.8197 (multiplicity 1)
P4 0.8703 0.0000 0.3245 (multiplicity 1)
O1 0.1279 0.5000 0.2822 (multiplicity 1)
O2 0.1875 0.0000 0.3377 (multiplicity 1)
O3 0.1921 0.2925 0.0584 (multiplicity 2)
O4 0.2235 0.2946 0.5583 (multiplicity 2)
O5 0.2406 0.0000 0.8408 (multiplicity 1)
O6 0.2988 0.5000 0.7816 (multiplicity 1)
O7 0.6289 0.0000 0.6705 (multiplicity 1)
O8 0.6870 0.5000 0.6179 (multiplicity 1)
O9 0.7043 0.2036 0.8953 (multiplicity 2)
O10 0.7241 0.2058 0.3971 (multiplicity 2)
O11 0.7342 0.5000 0.1191 (multiplicity 1)
O12 0.8008 0.0000 0.1737 (multiplicity 1)

Summary:
uncorrected energy = -154.34 eV per cell
energy of formation = -2.02 eV/atom
theoretical density = 3634 kg/m3



E (MP2020) across the listed records, respectively: -185.19; -204.53; -827.53; -285.54; -204.16; -175.21 eV/cell.